DFT (PBE) results for Lu2AgPt after structural relaxation.

The calculation puts the energy of formation at -0.8483 eV per atom. The space-group type is No. 225.

abc: 4.928 4.928 4.928
angles: 60.00 60.00 60.00
Atoms (fractional coordinates):
Ag 0.500 0.500 0.500
Lu 0.750 0.750 0.750
Pt 0.000 0.000 0.000
Lu 0.250 0.250 0.250



DFT (PBE) results for Lu2AgRu after structural relaxation.

The calculation puts the energy of formation at -0.4404 eV per atom. The space-group type is No. 225.

abc: 4.857 4.857 4.857
angles: 60.00 60.00 60.00
Atoms (fractional coordinates):
Lu 0.750 0.750 0.750
Ru 0.000 0.000 0.000
Lu 0.250 0.250 0.250
Ag 0.500 0.500 0.500



Copy entry 2 word for word.
DFT (PBE) results for Lu2AgRu after structural relaxation.

The calculation puts the energy of formation at -0.4404 eV per atom. The space-group type is No. 225.

abc: 4.857 4.857 4.857
angles: 60.00 60.00 60.00
Atoms (fractional coordinates):
Lu 0.750 0.750 0.750
Ru 0.000 0.000 0.000
Lu 0.250 0.250 0.250
Ag 0.500 0.500 0.500



Question: Which formula does entry 2 have?
Answer: Lu2AgRu